Entry 1:
Density functional theory data (PBE) for Te4MoW3Se2S2 after structural relaxation.

abc: 3.400 3.400 38.890
angles: 90.00 90.00 120.00
Element x y z (fractional)
Te (0.333, 0.667, 0.421)
S (0.333, 0.667, 0.133)
Se (0.000, 0.000, 0.700)
Mo (0.000, 0.000, 0.094)
S (0.333, 0.667, 0.055)
Te (0.000, 0.000, 0.330)
Te (0.333, 0.667, 0.518)
W (0.333, 0.667, 0.282)
Se (0.000, 0.000, 0.615)
Te (0.000, 0.000, 0.233)
W (0.333, 0.667, 0.658)
W (0.000, 0.000, 0.470)

## Properties
* total energy after the MP2020 corrections: -6.884 eV/atom

Entry 2:
Density functional theory data (PBE) for K15W7N19 after structural relaxation.

abc: 6.873 12.638 19.790
angles: 90.71 94.25 99.88
Element x y z (fractional)
K (0.637, 0.906, 0.522)
K (0.394, 0.620, 0.159)
K (0.500, 0.500, 0.000)
W (0.000, 0.226, 0.551)
N (0.748, 0.786, 0.662)
K (0.525, 0.625, 0.440)
N (0.853, 0.991, 0.752)
N (0.064, 0.520, 0.095)
N (0.096, 0.105, 0.945)
N (0.500, 0.397, 0.422)
N (0.424, 0.245, 0.038)
K (0.923, 0.675, 0.789)
N (0.340, 0.576, 0.859)
N (0.422, 0.205, 0.192)
K (0.222, 0.246, 0.718)
K (0.277, 0.754, 0.605)
W (0.751, 0.663, 0.607)
N (0.792, 0.208, 0.118)
K (0.723, 0.082, 0.003)
K (0.077, 0.325, 0.211)
N (0.391, 0.640, 0.295)
N (0.104, 0.297, 0.470)
N (0.873, 0.559, 0.658)
N (0.781, 0.125, 0.526)
N (0.801, 0.835, 0.409)
N (0.061, 0.672, 0.382)
K (0.935, 0.036, 0.372)
W (0.249, 0.337, 0.393)
K (0.279, 0.983, 0.811)
K (0.065, 0.964, 0.628)
N (0.660, 0.424, 0.141)
N (0.208, 0.792, 0.882)
N (0.578, 0.795, 0.808)
N (0.147, 0.009, 0.248)
W (0.652, 0.879, 0.728)
K (0.875, 0.902, 0.899)
W (0.317, 0.209, 0.944)
K (0.852, 0.165, 0.835)
N (0.219, 0.875, 0.474)
N (0.440, 0.930, 0.689)
N (0.609, 0.360, 0.705)
K (0.723, 0.246, 0.395)
N (0.127, 0.441, 0.342)
K (0.393, 0.867, 0.348)
W (0.348, 0.121, 0.272)
K (0.606, 0.380, 0.841)
N (0.904, 0.895, 0.055)
N (0.758, 0.662, 0.099)
N (0.936, 0.480, 0.905)
N (0.500, 0.840, 0.105)
N (0.500, 0.160, 0.895)
N (0.966, 0.590, 0.233)
K (0.972, 0.345, 0.014)
W (0.000, 0.774, 0.449)
N (0.560, 0.070, 0.311)
K (0.277, 0.918, 0.997)
N (0.199, 0.165, 0.591)
K (0.000, 0.500, 0.500)
K (0.607, 0.133, 0.652)
K (0.028, 0.655, 0.986)
N (0.252, 0.214, 0.338)
N (0.242, 0.338, 0.901)
K (0.778, 0.754, 0.282)
N (0.576, 0.755, 0.962)
K (0.148, 0.835, 0.165)
W (0.577, 0.271, 0.123)
W (0.683, 0.791, 0.056)
N (0.896, 0.703, 0.530)
K (0.125, 0.098, 0.101)
W (0.423, 0.729, 0.877)
W (0.134, 0.451, 0.859)
N (0.500, 0.603, 0.578)
K (0.396, 0.545, 0.713)
W (0.141, 0.586, 0.314)
W (0.859, 0.414, 0.686)
K (0.604, 0.455, 0.287)
W (0.866, 0.549, 0.141)
N (0.939, 0.328, 0.618)
K (0.363, 0.094, 0.478)
K (0.475, 0.375, 0.560)
K (0.721, 0.017, 0.189)
N (0.034, 0.410, 0.767)

## Properties
* total energy after the MP2020 corrections: -7.132 eV/atom

Entry 3:
Density functional theory data (PBE) for ZrNbFe4 after structural relaxation.

abc: 4.912 4.912 4.912
angles: 60.00 60.00 60.00
Element x y z (fractional)
Fe (0.625, 0.126, 0.625)
Fe (0.126, 0.625, 0.625)
Nb (0.250, 0.250, 0.250)
Zr (0.000, 0.000, 0.000)
Fe (0.625, 0.625, 0.126)
Fe (0.625, 0.625, 0.625)

## Properties
* total energy: -53.7 eV for the cell shown